Entry 1:
This record from the Materials Project database describes a relaxed GdB2Os2 crystal. The functional is PBE-GGA.

Calculated formation energy in meV per atom: -466

Cell: 6.690 8.999 9.905 Å, 90.00 90.00 90.00°
Space group Fddd (No. 70, origin choice 2)
Asymmetric unit:
Gd1 0.125 0.125 0.125 (multiplicity 8)
B1 0.125 0.314 0.625 (multiplicity 16)
Os1 0.125 0.125 0.487 (multiplicity 16)

=====

Entry 2:
This record from the Materials Project database describes a relaxed GdB2Os crystal. The functional is PBE-GGA.

Magnetic moment in μB/atom: 1.7250
Calculated formation energy in meV per atom: -527

Cell: 5.922 5.338 6.408 Å, 90.00 90.00 90.00°
Space group Pnma (No. 62)
Asymmetric unit:
Gd1 0.010 0.250 0.163 (multiplicity 4)
B1 0.133 0.582 0.460 (multiplicity 8)
Os1 0.178 0.250 0.684 (multiplicity 4)

=====

Entry 3:
This record from the Materials Project database describes a relaxed GdReB4 crystal. The functional is PBE-GGA.

Calculated formation energy in meV per atom: -571

Cell: 5.994 11.606 3.632 Å, 90.00 90.00 90.00°
Space group Pbam (No. 55)
Asymmetric unit:
Gd1 0.126 0.151 0.000 (multiplicity 4)
Re1 0.132 0.413 0.000 (multiplicity 4)
B1 0.023 0.691 0.500 (multiplicity 4)
B2 0.113 0.547 0.500 (multiplicity 4)
B3 0.137 0.968 0.500 (multiplicity 4)
B4 0.213 0.816 0.500 (multiplicity 4)

=====

Entry 4:
This record from the Materials Project database describes a relaxed Gd3ReB7 crystal. The functional is PBE-GGA.

Magnetic moment in μB/atom: 1.9312
Calculated formation energy in meV per atom: -557

Cell: 3.551 16.018 9.439 Å, 90.00 90.00 90.00°
Space group Cmcm (No. 63)
Asymmetric unit:
Gd1 0.000 0.105 0.061 (multiplicity 8)
Gd2 0.000 0.244 0.750 (multiplicity 4)
Re1 0.000 0.054 0.750 (multiplicity 4)
B1 0.000 0.273 0.032 (multiplicity 8)
B2 0.000 0.368 0.150 (multiplicity 8)
B3 0.000 0.459 0.750 (multiplicity 4)
B4 0.000 0.478 0.095 (multiplicity 8)

=====

Entry 5:
This record from the Materials Project database describes a relaxed GdB2Ru2 crystal. The functional is PBE-GGA.

Calculated formation energy in meV per atom: -537

Cell: 6.619 9.005 9.846 Å, 90.00 90.00 90.00°
Space group Fddd (No. 70, origin choice 2)
Asymmetric unit:
Gd1 0.125 0.125 0.125 (multiplicity 8)
B1 0.125 0.311 0.625 (multiplicity 16)
Ru1 0.125 0.125 0.487 (multiplicity 16)

=====

Entry 6:
This record from the Materials Project database describes a relaxed GdB2Ru3 crystal. The functional is PBE-GGA.

Calculated formation energy in meV per atom: -460

Cell: 5.5309 5.5309 3.0327 Å, 90.00 90.00 120.00°
Space group P6/mmm (No. 191)
Asymmetric unit:
Gd1 0.0000 0.0000 0.0000 (multiplicity 1)
B1 0.3333 0.6667 0.0000 (multiplicity 2)
Ru1 0.0000 0.5000 0.5000 (multiplicity 3)

=====

Entry 7:
This record from the Materials Project database describes a relaxed GdVB4 crystal. The functional is PBE-GGA.

Magnetic moment in μB/atom: 1.1644
Calculated formation energy in meV per atom: -678

Cell: 6.025 11.669 3.473 Å, 90.00 90.00 90.00°
Space group Pbam (No. 55)
Asymmetric unit:
Gd1 0.124 0.152 0.000 (multiplicity 4)
V1 0.127 0.418 0.000 (multiplicity 4)
B1 0.022 0.692 0.500 (multiplicity 4)
B2 0.114 0.547 0.500 (multiplicity 4)
B3 0.137 0.967 0.500 (multiplicity 4)
B4 0.215 0.815 0.500 (multiplicity 4)

=====

Entry 8:
This record from the Materials Project database describes a relaxed Ge3B crystal. The functional is PBE-GGA.

Magnetic moment in μB/atom: 0.0001
Energy above the most stable polymorph in this dataset in kJ/mol of atoms: 0.0
Calculated formation energy in meV per atom: 984

Cell: 6.420 6.420 6.420 Å, 90.00 90.00 90.00°
Space group Fm-3m (No. 225)
Asymmetric unit:
Ge1 0.000 0.000 0.000 (multiplicity 4)
Ge2 0.250 0.250 0.250 (multiplicity 8)
B1 0.000 0.000 0.500 (multiplicity 4)

=====

Entry 9:
This record from the Materials Project database describes a relaxed Ge3B crystal. The functional is PBE-GGA.

Magnetic moment in μB/atom: 0.0001
Energy above the most stable polymorph in this dataset in kJ/mol of atoms: 0.2
Calculated formation energy in meV per atom: 986

Cell: 5.5742 5.5742 4.8107 Å, 90.00 90.00 120.00°
Space group P6_3/mmc (No. 194)
Asymmetric unit:
Ge1 0.1720 0.3441 0.2500 (multiplicity 6)
B1 0.3333 0.6667 0.7500 (multiplicity 2)

=====

Entry 10:
This record from the Materials Project database describes a relaxed Ge3B crystal. The functional is PBE-GGA.

Magnetic moment in μB/atom: 0.0001
Energy above the most stable polymorph in this dataset in kJ/mol of atoms: 2.4
Calculated formation energy in meV per atom: 1009

Cell: 4.015 4.015 4.015 Å, 90.00 90.00 90.00°
Space group Pm-3m (No. 221)
Asymmetric unit:
Ge1 0.000 0.000 0.500 (multiplicity 3)
B1 0.500 0.500 0.500 (multiplicity 1)

=====

Entry 11:
This record from the Materials Project database describes a relaxed Ge3BH4NO8 crystal. The functional is PBE-GGA.

Magnetic moment in μB/atom: 0.0000
Calculated formation energy in meV per atom: -1743

Cell: 7.126 7.574 7.847 Å, 103.26 102.79 104.52°
Space group P-1 (No. 2)
Asymmetric unit:
Ge1 0.154 0.334 0.106 (multiplicity 2)
Ge2 0.249 0.155 0.733 (multiplicity 2)
Ge3 0.273 0.784 0.197 (multiplicity 2)
B1 0.151 0.105 0.356 (multiplicity 2)
H1 0.221 0.732 0.597 (multiplicity 2)
H2 0.260 0.516 0.595 (multiplicity 2)
H3 0.268 0.676 0.790 (multiplicity 2)
H4 0.455 0.723 0.689 (multiplicity 2)
N1 0.301 0.661 0.666 (multiplicity 2)
O1 0.070 0.938 0.708 (multiplicity 2)
O2 0.115 0.723 0.968 (multiplicity 2)
O3 0.208 0.932 0.365 (multiplicity 2)
O4 0.233 0.246 0.544 (multiplicity 2)
O5 0.246 0.193 0.230 (multiplicity 2)
O6 0.249 0.344 0.918 (multiplicity 2)
O7 0.252 0.570 0.261 (multiplicity 2)
O8 0.482 0.110 0.811 (multiplicity 2)

=====

Entry 12:
This record from the Materials Project database describes a relaxed HfGeB2 crystal. The functional is PBE-GGA.

Magnetic moment in μB/atom: 0.0003
Calculated formation energy in meV per atom: 1282

Cell: 6.048 6.048 6.048 Å, 90.00 90.00 90.00°
Space group F-43m (No. 216)
Asymmetric unit:
Hf1 0.000 0.000 0.000 (multiplicity 4)
Ge1 0.250 0.250 0.250 (multiplicity 4)
B1 0.000 0.000 0.500 (multiplicity 4)
B2 0.250 0.250 0.750 (multiplicity 4)

=====

Entry 13:
This record from the Materials Project database describes a relaxed Sc2GeB2Ir5 crystal. The functional is PBE-GGA.

Magnetic moment in μB/atom: 0.0001
Calculated formation energy in meV per atom: -792

Cell: 9.281 9.281 3.170 Å, 90.00 90.00 90.00°
Space group P4/mbm (No. 127)
Asymmetric unit:
Sc1 0.175 0.325 0.000 (multiplicity 4)
Ge1 0.000 0.000 0.000 (multiplicity 2)
B1 0.125 0.625 0.000 (multiplicity 4)
Ir1 0.000 0.500 0.500 (multiplicity 2)
Ir2 0.072 0.785 0.500 (multiplicity 8)

=====

Entry 14:
This record from the Materials Project database describes a relaxed K2GeB4O11 crystal. The functional is PBE-GGA.

Magnetic moment in μB/atom: 0.1109
Calculated formation energy in meV per atom: -2118

Cell: 6.846 12.242 12.030 Å, 90.00 91.46 90.00°
Space group Cc (No. 9)
Asymmetric unit:
K1 0.000 0.044 0.000 (multiplicity 4)
K2 0.423 0.248 0.228 (multiplicity 4)
Ge1 0.453 0.208 0.905 (multiplicity 4)
B1 0.036 0.483 0.955 (multiplicity 4)
B2 0.120 0.298 0.019 (multiplicity 4)
B3 0.286 0.164 0.469 (multiplicity 4)
B4 0.374 0.188 0.667 (multiplicity 4)
O1 0.066 0.300 0.140 (multiplicity 4)
O2 0.097 0.411 0.432 (multiplicity 4)
O3 0.119 0.184 0.392 (multiplicity 4)
O4 0.182 0.411 0.986 (multiplicity 4)
O5 0.225 0.171 0.589 (multiplicity 4)
O6 0.274 0.467 0.716 (multiplicity 4)
O7 0.284 0.219 0.012 (multiplicity 4)
O8 0.313 0.195 0.778 (multiplicity 4)
O9 0.343 0.046 0.447 (multiplicity 4)
O10 0.445 0.484 0.746 (multiplicity 4)
O11 0.451 0.236 0.451 (multiplicity 4)

=====

Entry 15:
This record from the Materials Project database describes a relaxed LiGeBO4 crystal. The functional is PBE-GGA.

Magnetic moment in μB/atom: 0.0000
Calculated formation energy in meV per atom: -2292
Piezoelectric modulus e_max in C/m2: 0.514

Cell: 5.338 5.522 9.956 Å, 90.00 90.00 90.00°
Space group Fmm2 (No. 42)
Asymmetric unit:
Li1 0.000 0.000 0.000 (multiplicity 4)
Ge1 0.000 0.000 0.264 (multiplicity 4)
B1 0.000 0.000 0.740 (multiplicity 4)
O1 0.000 0.210 0.842 (multiplicity 8)
O2 0.228 0.000 0.656 (multiplicity 8)

=====

Entry 16:
This record from the Materials Project database describes a relaxed Mg2GeB2Rh5 crystal. The functional is PBE-GGA.

Magnetic moment in μB/atom: 0.0000
Calculated formation energy in meV per atom: -638

Cell: 9.420 9.420 2.937 Å, 90.00 90.00 90.00°
Space group P4/mbm (No. 127)
Asymmetric unit:
Mg1 0.175 0.325 0.000 (multiplicity 4)
Ge1 0.000 0.000 0.000 (multiplicity 2)
B1 0.125 0.625 0.000 (multiplicity 4)
Rh1 0.000 0.500 0.500 (multiplicity 2)
Rh2 0.072 0.786 0.500 (multiplicity 8)

=====

Entry 17:
This record from the Materials Project database describes a relaxed Nb5Ge3B crystal. The functional is PBE-GGA.

Calculated formation energy in meV per atom: -564

Cell: 7.7800 7.7800 5.3718 Å, 90.00 90.00 120.00°
Space group P6_3/mcm (No. 193)
Asymmetric unit:
Nb1 0.0000 0.2436 0.2500 (multiplicity 6)
Nb2 0.3333 0.6667 0.0000 (multiplicity 4)
Ge1 0.0000 0.4006 0.7500 (multiplicity 6)
B1 0.0000 0.0000 0.0000 (multiplicity 2)